# Ag2S, optimized geometry, DFT PBE
# largest piezoelectric modulus: 1.54 C/m2
# calculated formation energy: -16.4 kJ/mol of atoms
data_Ag2S
_cell_length_a 4.435
_cell_length_b 4.620
_cell_length_c 9.806
_cell_angle_alpha 99.78
_cell_angle_beta 98.20
_cell_angle_gamma 94.87
_space_group_name_H-M_alt 'P 1'
_space_group_IT_number 1
loop_
_space_group_symop_operation_xyz
'x,y,z'
loop_
_atom_site_label
_atom_site_type_symbol
_atom_site_fract_x
_atom_site_fract_y
_atom_site_fract_z
Ag1 Ag 0.000 0.000 0.000
Ag2 Ag 0.073 0.079 0.313
Ag3 Ag 0.269 0.187 0.624
Ag4 Ag 0.407 0.546 0.939
Ag5 Ag 0.615 0.521 0.287
Ag6 Ag 0.739 0.752 0.657
S1 S 0.119 0.608 0.157
S2 S 0.498 0.026 0.846
S3 S 0.771 0.290 0.499


# Cs2O, optimized geometry, DFT PBE
# calculated formation energy: -107.8 kJ/mol of atoms
data_Cs2O
_cell_length_a 6.977
_cell_length_b 7.340
_cell_length_c 4.292
_cell_angle_alpha 90.00
_cell_angle_beta 90.00
_cell_angle_gamma 90.00
_space_group_name_H-M_alt 'P n n m'
_space_group_IT_number 58
loop_
_space_group_symop_operation_xyz
'x,y,z'
'-x,-y,-z'
'-x,-y,z'
'x,y,-z'
'x+1/2,-y+1/2,-z+1/2'
'-x+1/2,y+1/2,z+1/2'
'-x+1/2,y+1/2,-z+1/2'
'x+1/2,-y+1/2,z+1/2'
loop_
_atom_site_label
_atom_site_type_symbol
_atom_site_fract_x
_atom_site_fract_y
_atom_site_fract_z
Cs1 Cs 0.222 0.142 0.000
O1 O 0.000 0.000 0.500


# BaLaBr5, optimized geometry, DFT PBE
# distance to the lowest polymorph of the same formula: 41 meV/atom
# calculated formation energy: -232.1 kJ/mol of atoms
data_BaLaBr5
_cell_length_a 16.231
_cell_length_b 7.693
_cell_length_c 15.717
_cell_angle_alpha 90.00
_cell_angle_beta 90.00
_cell_angle_gamma 90.00
_space_group_name_H-M_alt 'P n m a'
_space_group_IT_number 62
loop_
_space_group_symop_operation_xyz
'x,y,z'
'-x,-y,-z'
'-x+1/2,-y,z+1/2'
'x+1/2,y,-z+1/2'
'x+1/2,-y+1/2,-z+1/2'
'-x+1/2,y+1/2,z+1/2'
'-x,y+1/2,-z'
'x,-y+1/2,z'
loop_
_atom_site_label
_atom_site_type_symbol
_atom_site_fract_x
_atom_site_fract_y
_atom_site_fract_z
Ba1 Ba 0.093 0.250 0.189
Ba2 Ba 0.105 0.750 0.479
La1 La 0.102 0.250 0.789
La2 La 0.221 0.750 0.963
Br1 Br 0.028 0.510 0.674
Br2 Br 0.076 0.521 0.922
Br3 Br 0.076 0.750 0.161
Br4 Br 0.093 0.250 0.481
Br5 Br 0.223 0.513 0.327
Br6 Br 0.248 0.524 0.590


# AlNi12B8, optimized geometry, DFT PBE
# calculated formation energy: -31.7 kJ/mol of atoms
data_AlNi12B8
_cell_length_a 10.548
_cell_length_b 14.508
_cell_length_c 14.558
_cell_angle_alpha 90.00
_cell_angle_beta 90.00
_cell_angle_gamma 90.00
_space_group_name_H-M_alt 'C m c e'
_space_group_IT_number 64
_space_group_name_Hall '-C 2ac 2'
loop_
_atom_site_label
_atom_site_type_symbol
_atom_site_fract_x
_atom_site_fract_y
_atom_site_fract_z
Al1 Al 0.000 0.000 0.000
Al2 Al 0.000 0.233 0.261
Ni1 Ni 0.000 0.075 0.422
Ni2 Ni 0.000 0.118 0.131
Ni3 Ni 0.000 0.137 0.875
Ni4 Ni 0.131 0.081 0.280
Ni5 Ni 0.132 0.070 0.566
Ni6 Ni 0.133 0.216 0.412
Ni7 Ni 0.133 0.237 0.604
Ni8 Ni 0.135 0.112 0.732
Ni9 Ni 0.167 0.009 0.868
Ni10 Ni 0.167 0.133 0.998
Ni11 Ni 0.250 0.235 0.250
B1 B 0.000 0.010 0.794
B2 B 0.000 0.025 0.674
B3 B 0.000 0.144 0.639
B4 B 0.000 0.174 0.518
B5 B 0.000 0.205 0.002
B6 B 0.191 0.075 0.421
B7 B 0.202 0.138 0.152
B8 B 0.210 0.156 0.857
B9 B 0.227 0.000 0.000


Q: What is the formula in the fourth record?
A: AlNi12B8


Q: calculated formation energy of number 3 (BaLaBr5)?
A: -232.1 kJ/mol of atoms


Q: Which value of calculated formation energy does entry 3 give?
A: -232.1 kJ/mol of atoms